1.
This record from the Materials Project database describes crystalline KCr5Se8 at its relaxed geometry. The functional is PBE.

abc: 9.639 9.639 9.055
angles: 104.44 104.44 22.12
Fractional coordinates of all 14 atoms:
K (0.000, 0.000, 0.000)
Cr (0.108, 0.208, 0.480)
Cr (0.154, 0.255, 0.836)
Cr (0.449, 0.551, 0.500)
Cr (0.745, 0.846, 0.164)
Cr (0.792, 0.892, 0.520)
Se (0.024, 0.125, 0.657)
Se (0.211, 0.312, 0.343)
Se (0.280, 0.380, 0.009)
Se (0.365, 0.463, 0.672)
Se (0.537, 0.635, 0.328)
Se (0.620, 0.720, 0.991)
Se (0.688, 0.789, 0.657)
Se (0.875, 0.976, 0.343)

Values from the calculation:
The calculation puts the formation energy at -911 meV/atom. The value obtained for the total energy is -6.166 eV per atom.



2.
This record from the Materials Project database describes crystalline Cr3B12Rh25 at its relaxed geometry. The functional is PBE.

abc: 4.824 7.522 12.985
angles: 90.05 90.09 90.01
Fractional coordinates of all 40 atoms:
Cr (0.000, 0.000, 0.000)
Cr (0.000, 0.179, 0.820)
Cr (0.004, 0.493, 0.505)
B (0.226, 0.278, 0.641)
B (0.227, 0.210, 0.140)
B (0.228, 0.708, 0.639)
B (0.228, 0.778, 0.139)
B (0.228, 0.994, 0.356)
B (0.229, 0.492, 0.856)
B (0.716, 0.270, 0.451)
B (0.717, 0.218, 0.952)
B (0.717, 0.771, 0.952)
B (0.718, 0.719, 0.452)
B (0.718, 0.993, 0.732)
B (0.726, 0.494, 0.234)
Rh (0.306, 0.300, 0.981)
Rh (0.315, 0.996, 0.671)
Rh (0.317, 0.183, 0.485)
Rh (0.317, 0.682, 0.983)
Rh (0.318, 0.805, 0.484)
Rh (0.328, 0.493, 0.168)
Rh (0.478, 0.179, 0.273)
Rh (0.478, 0.810, 0.272)
Rh (0.480, 0.678, 0.773)
Rh (0.490, 0.494, 0.379)
Rh (0.492, 0.997, 0.879)
Rh (0.493, 0.994, 0.084)
Rh (0.494, 0.302, 0.775)
Rh (0.494, 0.492, 0.586)
Rh (0.824, 0.183, 0.611)
Rh (0.825, 0.301, 0.107)
Rh (0.826, 0.802, 0.606)
Rh (0.828, 0.488, 0.920)
Rh (0.828, 0.686, 0.105)
Rh (0.829, 0.996, 0.423)
Rh (0.976, 0.313, 0.324)
Rh (0.977, 0.675, 0.323)
Rh (0.978, 0.825, 0.823)
Rh (0.996, 0.994, 0.210)
Rh (0.999, 0.491, 0.713)

Values from the calculation:
The calculation puts the formation energy at -248 meV/atom. The value obtained for the total energy is -7.578 eV per atom.



3.
This record from the Materials Project database describes crystalline W3Br7 at its relaxed geometry. The functional is PBE.

abc: 14.183 14.183 14.183
angles: 90.00 90.00 90.00
Fractional coordinates of all 80 atoms:
W (0.026, 0.535, 0.626)
W (0.026, 0.965, 0.874)
W (0.035, 0.126, 0.974)
W (0.035, 0.374, 0.526)
W (0.126, 0.526, 0.465)
W (0.126, 0.974, 0.035)
W (0.374, 0.526, 0.035)
W (0.374, 0.974, 0.465)
W (0.465, 0.126, 0.526)
W (0.465, 0.374, 0.974)
W (0.474, 0.535, 0.874)
W (0.474, 0.965, 0.626)
W (0.526, 0.035, 0.374)
W (0.526, 0.465, 0.126)
W (0.535, 0.626, 0.026)
W (0.535, 0.874, 0.474)
W (0.626, 0.026, 0.535)
W (0.626, 0.474, 0.965)
W (0.874, 0.026, 0.965)
W (0.874, 0.474, 0.535)
W (0.965, 0.626, 0.474)
W (0.965, 0.874, 0.026)
W (0.974, 0.035, 0.126)
W (0.974, 0.465, 0.374)
Br (0.061, 0.582, 0.796)
Br (0.061, 0.918, 0.704)
Br (0.063, 0.619, 0.315)
Br (0.063, 0.881, 0.185)
Br (0.082, 0.204, 0.561)
Br (0.082, 0.296, 0.939)
Br (0.119, 0.685, 0.563)
Br (0.119, 0.815, 0.937)
Br (0.133, 0.133, 0.133)
Br (0.133, 0.367, 0.367)
Br (0.185, 0.063, 0.881)
Br (0.185, 0.437, 0.619)
Br (0.204, 0.561, 0.082)
Br (0.204, 0.939, 0.418)
Br (0.296, 0.561, 0.418)
Br (0.296, 0.939, 0.082)
Br (0.315, 0.063, 0.619)
Br (0.315, 0.437, 0.881)
Br (0.367, 0.133, 0.367)
Br (0.367, 0.367, 0.133)
Br (0.381, 0.685, 0.937)
Br (0.381, 0.815, 0.563)
Br (0.418, 0.204, 0.939)
Br (0.418, 0.296, 0.561)
Br (0.437, 0.619, 0.185)
Br (0.437, 0.881, 0.315)
Br (0.439, 0.582, 0.704)
Br (0.439, 0.918, 0.796)
Br (0.561, 0.082, 0.204)
Br (0.561, 0.418, 0.296)
Br (0.563, 0.119, 0.685)
Br (0.563, 0.381, 0.815)
Br (0.582, 0.704, 0.439)
Br (0.582, 0.796, 0.061)
Br (0.619, 0.185, 0.437)
Br (0.619, 0.315, 0.063)
Br (0.633, 0.633, 0.867)
Br (0.633, 0.867, 0.633)
Br (0.685, 0.563, 0.119)
Br (0.685, 0.937, 0.381)
Br (0.704, 0.061, 0.918)
Br (0.704, 0.439, 0.582)
Br (0.796, 0.061, 0.582)
Br (0.796, 0.439, 0.918)
Br (0.815, 0.563, 0.381)
Br (0.815, 0.937, 0.119)
Br (0.867, 0.633, 0.633)
Br (0.867, 0.867, 0.867)
Br (0.881, 0.185, 0.063)
Br (0.881, 0.315, 0.437)
Br (0.918, 0.704, 0.061)
Br (0.918, 0.796, 0.439)
Br (0.937, 0.119, 0.815)
Br (0.937, 0.381, 0.685)
Br (0.939, 0.082, 0.296)
Br (0.939, 0.418, 0.204)

Values from the calculation:
The calculation puts the formation energy at -823 meV/atom. The value obtained for the total energy is -5.482 eV per atom.